Below is an optimized crystal structure of Li9Mn2Co5O16, with properties calculated at the PBE with a Hubbard U level.

formation enthalpy at 0 K	-1766	meV/atom
energy above the lowest structure with this stoichiometry	98	meV per atom

Lattice parameters (Å, degrees): 5.931 5.931 9.713 82.36 82.36 58.33
Fractional coordinates of all 32 atoms:
Co: 0.121 0.879 0.000
Co: 0.381 0.123 0.500
Li: 0.128 0.388 0.994
Li: 0.612 0.872 0.006
O: 0.303 0.079 0.865
O: 0.200 0.949 0.633
Li: 0.248 0.999 0.247
O: 0.685 0.926 0.613
O: 0.812 0.558 0.861
Co: 0.501 0.743 0.759
O: 0.576 0.824 0.371
Li: 0.379 0.621 0.500
Mn: 0.751 0.996 0.246
Co: 0.257 0.499 0.241
O: 0.051 0.800 0.367
Li: 0.001 0.752 0.753
Li: 0.746 0.499 0.243
O: 0.401 0.696 0.121
O: 0.304 0.599 0.879
Li: 0.501 0.254 0.757
O: 0.921 0.697 0.135
Co: 0.877 0.619 0.500
O: 0.176 0.424 0.629
O: 0.846 0.075 0.870
O: 0.074 0.315 0.387
Li: 0.878 0.122 0.500
O: 0.925 0.154 0.130
O: 0.442 0.188 0.139
O: 0.706 0.431 0.632
Li: 0.622 0.378 0.000
Mn: 0.004 0.249 0.754
O: 0.569 0.294 0.368

---

Below is an optimized crystal structure of SrNdFeRuO6, with properties calculated at the PBE with a Hubbard U level.

formation enthalpy at 0 K	-2481	meV/atom

Lattice parameters (Å, degrees): 5.646 5.588 9.642 54.81 90.00 90.00
Fractional coordinates of all 20 atoms:
Fe: 0.745 0.500 0.500
O: 0.975 0.183 0.539
O: 0.540 0.839 0.456
Ru: 0.252 0.000 0.501
O: 0.543 0.248 0.044
Sr: 0.280 0.753 0.250
O: 0.974 0.764 0.961
Fe: 0.255 0.500 0.000
O: 0.460 0.839 0.956
O: 0.026 0.764 0.461
O: 0.262 0.661 0.750
Sr: 0.720 0.753 0.750
O: 0.457 0.248 0.544
O: 0.738 0.661 0.250
Nd: 0.202 0.236 0.749
O: 0.226 0.315 0.250
O: 0.774 0.315 0.750
O: 0.025 0.183 0.039
Ru: 0.748 0.000 0.001
Nd: 0.798 0.236 0.249

---

Below is an optimized crystal structure of Ni3Sb4O6F6, with properties calculated at the PBE with a Hubbard U level.

formation enthalpy at 0 K	-2033	meV/atom

Lattice parameters (Å, degrees): 8.204 8.204 8.204 90.00 90.00 90.00
Fractional coordinates of all 38 atoms:
Sb: 0.338 0.338 0.338
O: 0.748 0.000 0.000
F: 0.000 0.500 0.250
O: 0.500 0.248 0.500
Ni: 0.500 0.000 0.000
Ni: 0.000 0.000 0.500
O: 0.752 0.500 0.500
Sb: 0.162 0.838 0.162
O: 0.000 0.000 0.748
F: 0.500 0.000 0.250
O: 0.500 0.500 0.248
O: 0.000 0.748 0.000
F: 0.000 0.750 0.500
F: 0.250 0.000 0.500
F: 0.500 0.750 0.000
O: 0.248 0.500 0.500
O: 0.000 0.252 0.000
Ni: 0.500 0.500 0.000
Ni: 0.500 0.000 0.500
Ni: 0.000 0.500 0.500
F: 0.500 0.000 0.750
F: 0.000 0.500 0.750
O: 0.000 0.000 0.252
Ni: 0.000 0.500 0.000
Sb: 0.838 0.162 0.162
Sb: 0.838 0.838 0.838
F: 0.750 0.000 0.500
O: 0.500 0.752 0.500
O: 0.500 0.500 0.752
F: 0.250 0.500 0.000
F: 0.500 0.250 0.000
F: 0.750 0.500 0.000
F: 0.000 0.250 0.500
Sb: 0.338 0.662 0.662
Sb: 0.662 0.662 0.338
Sb: 0.162 0.162 0.838
O: 0.252 0.000 0.000
Sb: 0.662 0.338 0.662

---

Below is an optimized crystal structure of K2Fe2Co2C12N12O, with properties calculated at the PBE with a Hubbard U level.

formation enthalpy at 0 K	480	meV/atom

Lattice parameters (Å, degrees): 7.425 7.963 10.855 90.16 90.13 90.16
Fractional coordinates of all 31 atoms:
C: 0.952 0.776 0.000
N: 0.458 0.673 0.998
C: 0.752 0.984 0.801
K: 0.721 0.470 0.766
O: 0.796 0.458 0.494
C: 0.573 0.190 0.000
Co: 0.739 0.981 0.500
C: 0.248 0.484 0.700
C: 0.753 0.984 0.199
N: 0.066 0.290 0.001
N: 0.479 0.308 0.001
C: 0.047 0.276 0.499
N: 0.258 0.484 0.807
N: 0.051 0.662 0.999
N: 0.745 0.985 0.307
N: 0.258 0.482 0.193
N: 0.550 0.179 0.501
N: 0.948 0.161 0.499
Co: 0.260 0.483 0.000
N: 0.534 0.800 0.501
C: 0.023 0.667 0.500
N: 0.925 0.782 0.500
C: 0.445 0.289 0.500
Fe: 0.762 0.981 0.000
C: 0.557 0.788 0.000
C: 0.430 0.689 0.500
C: 0.967 0.175 0.000
C: 0.248 0.483 0.300
Fe: 0.240 0.483 0.500
K: 0.721 0.470 0.231
N: 0.743 0.985 0.693

---

| no. | spin magnetization (μB per formula unit) |
| --- | --- |
| 1 | 2.00 |
| 2 | 7.00 |
| 3 | 0.00 |
| 4 | 12.00 |